Entry 1:
Below is crystalline SrCuSe2O6 at its relaxed geometry, with properties calculated at the PBE level.

Lattice parameters (Å, degrees): 4.847 4.847 15.098 90.84 90.84 65.27
Sites, in units of the cell vectors:
Sr: 0.060 0.940 0.750
Sr: 0.940 0.060 0.250
Cu: 0.000 0.000 0.000
Cu: 0.000 0.000 0.500
Se: 0.357 0.357 0.406
Se: 0.357 0.357 0.906
Se: 0.643 0.643 0.094
Se: 0.643 0.643 0.594
O: 0.160 0.751 0.394
O: 0.242 0.364 0.799
O: 0.249 0.840 0.106
O: 0.265 0.682 0.582
O: 0.318 0.735 0.918
O: 0.364 0.242 0.299
O: 0.636 0.758 0.701
O: 0.682 0.265 0.082
O: 0.735 0.318 0.418
O: 0.751 0.160 0.894
O: 0.758 0.636 0.201
O: 0.840 0.249 0.606

Calculated values
Size of the total moment ... 0.100 μB per atom


Entry 2:
Below is crystalline Sr2CuSeO2 at its relaxed geometry, with properties calculated at the PBE level.

Lattice parameters (Å, degrees): 3.951 3.951 6.987 90.00 90.00 90.00
Sites, in units of the cell vectors:
Sr: 0.000 0.000 0.243
Sr: 0.000 0.000 0.757
Cu: 0.500 0.500 0.000
Se: 0.500 0.500 0.500
O: 0.000 0.500 0.000
O: 0.500 0.000 0.000

Calculated values
Size of the total moment ... 0.008 μB per atom


| no. | E (hartree per atom) |
| --- | --- |
| 1 | -0.2046 |
| 2 | -0.1949 |